Record 1
{"formula": "NaY2In2PS5O24", "functional": "GGA-PBE", "state": "relaxed", "total_energy_ev_per_atom": -6.6134, "ef_kj_per_mol_atoms": -230, "lattice_angstrom": [[9.045, 0.014, -0.012], [-4.511, 7.842, 0.005], [-0.028, -0.001, 23.836]], "species": ["Na", "Na", "Na", "Y", "Y", "Y", "Y", "Y", "Y", "In", "In", "In", "In", "In", "In", "P", "P", "P", "S", "S", "S", "S", "S", "S", "S", "S", "S", "S", "S", "S", "S", "S", "S", "O", "O", "O", "O", "O", "O", "O", "O", "O", "O", "O", "O", "O", "O", "O", "O", "O", "O", "O", "O", "O", "O", "O", "O", "O", "O", "O", "O", "O", "O", "O", "O", "O", "O", "O", "O", "O", "O", "O", "O", "O", "O", "O", "O", "O", "O", "O", "O", "O", "O", "O", "O", "O", "O", "O", "O", "O", "O", "O", "O", "O", "O", "O", "O", "O", "O", "O", "O", "O", "O", "O", "O"], "frac_coords": [[0.999, 0.992, 0.997], [0.659, 0.332, 0.841], [0.674, 0.332, 0.328], [0.998, 0.006, 0.351], [0.001, 0.000, 0.649], [0.666, 0.333, 0.688], [0.667, 0.333, 0.481], [0.333, 0.667, 0.521], [0.327, 0.660, 0.307], [0.999, 0.992, 0.856], [0.001, 0.006, 0.149], [0.674, 0.334, 0.181], [0.659, 0.333, 0.980], [0.340, 0.675, 0.016], [0.341, 0.673, 0.820], [0.989, 0.287, 0.247], [0.626, 0.666, 0.917], [0.334, 0.960, 0.917], [0.297, 0.009, 0.248], [0.712, 0.703, 0.248], [0.289, 0.296, 0.754], [0.006, 0.708, 0.753], [0.706, 0.995, 0.753], [0.959, 0.333, 0.584], [0.374, 0.041, 0.584], [0.668, 0.627, 0.584], [0.961, 0.628, 0.082], [0.667, 0.041, 0.082], [0.373, 0.334, 0.083], [0.040, 0.374, 0.917], [0.623, 0.958, 0.416], [0.335, 0.375, 0.416], [0.040, 0.666, 0.416], [0.218, 0.034, 0.299], [0.817, 0.780, 0.299], [0.961, 0.178, 0.300], [0.208, 0.184, 0.803], [0.973, 0.786, 0.802], [0.817, 0.026, 0.803], [0.786, 0.975, 0.702], [0.190, 0.217, 0.702], [0.028, 0.809, 0.701], [0.791, 0.807, 0.197], [0.019, 0.207, 0.195], [0.190, 0.979, 0.197], [0.877, 0.359, 0.634], [0.481, 0.123, 0.634], [0.642, 0.519, 0.634], [0.884, 0.526, 0.134], [0.641, 0.117, 0.134], [0.478, 0.359, 0.135], [0.451, 0.301, 0.033], [0.850, 0.549, 0.032], [0.698, 0.152, 0.032], [0.453, 0.147, 0.533], [0.693, 0.547, 0.533], [0.854, 0.307, 0.533], [0.546, 0.692, 0.970], [0.144, 0.451, 0.968], [0.302, 0.850, 0.970], [0.543, 0.859, 0.467], [0.315, 0.456, 0.467], [0.140, 0.686, 0.467], [0.122, 0.640, 0.366], [0.518, 0.877, 0.366], [0.361, 0.482, 0.366], [0.115, 0.477, 0.865], [0.360, 0.882, 0.863], [0.519, 0.634, 0.863], [0.022, 0.818, 0.409], [0.793, 0.975, 0.410], [0.184, 0.205, 0.410], [0.022, 0.201, 0.911], [0.174, 0.983, 0.912], [0.805, 0.830, 0.912], [0.977, 0.181, 0.591], [0.205, 0.024, 0.591], [0.820, 0.796, 0.591], [0.978, 0.802, 0.089], [0.823, 0.022, 0.088], [0.201, 0.176, 0.089], [0.688, 0.150, 0.747], [0.462, 0.314, 0.747], [0.851, 0.536, 0.746], [0.690, 0.529, 0.242], [0.827, 0.307, 0.242], [0.468, 0.165, 0.242], [0.650, 0.506, 0.923], [0.867, 0.356, 0.923], [0.498, 0.139, 0.923], [0.643, 0.132, 0.421], [0.490, 0.357, 0.421], [0.867, 0.511, 0.421], [0.354, 0.485, 0.075], [0.130, 0.644, 0.074], [0.515, 0.872, 0.075], [0.357, 0.872, 0.576], [0.516, 0.644, 0.576], [0.128, 0.485, 0.577], [0.317, 0.859, 0.255], [0.544, 0.689, 0.255], [0.147, 0.463, 0.256], [0.305, 0.466, 0.760], [0.158, 0.689, 0.760], [0.537, 0.843, 0.759]]}

=====

Record 2
{"formula": "MgPb2", "functional": "GGA-PBE", "state": "relaxed", "total_energy_ev_per_atom": -3.0045, "relative_energy_ev_per_fu": 0.036, "ef_kj_per_mol_atoms": 0, "lattice_angstrom": [[5.001, 0.000, 0.000], [0.000, 7.302, 0.000], [0.000, 0.000, 9.500]], "species": ["Mg", "Mg", "Mg", "Mg", "Pb", "Pb", "Pb", "Pb", "Pb", "Pb", "Pb", "Pb"], "frac_coords": [[0.250, 0.744, 0.873], [0.750, 0.256, 0.127], [0.750, 0.756, 0.373], [0.250, 0.244, 0.627], [0.250, 0.679, 0.555], [0.750, 0.321, 0.445], [0.750, 0.821, 0.055], [0.250, 0.179, 0.945], [0.250, 0.542, 0.180], [0.750, 0.458, 0.820], [0.750, 0.958, 0.680], [0.250, 0.042, 0.320]]}